Entry 1:
Na3Zr2Si2PO12, optimized geometry, DFT PBE; energy relative to the lowest polymorph listed for this composition = 18 meV/atom; calculated formation energy = -3.13 eV/atom; symmetry = P1 (1)
1.0
-0.554 -8.548 -3.336
-1.915 -7.004 5.653
-8.351 -4.163 -0.587
Si O Na Zr P
4 24 6 4 2
Direct
0.255 0.535 0.254
0.051 0.748 0.744
0.536 0.962 0.246
0.953 0.251 0.261
0.347 0.999 0.404
0.063 0.924 0.736
0.876 0.714 0.915
0.627 0.000 0.593
0.783 0.617 0.583
0.971 0.239 0.432
0.080 0.715 0.270
0.276 0.514 0.079
0.293 0.066 0.729
0.590 0.427 0.756
0.241 0.356 0.416
0.564 0.781 0.225
0.482 0.881 0.918
0.018 0.786 0.570
0.233 0.578 0.761
0.138 0.265 0.098
0.425 0.571 0.229
0.452 0.207 0.763
0.911 0.288 0.733
0.779 0.426 0.225
0.523 0.134 0.070
0.707 0.925 0.287
0.702 0.493 0.912
0.921 0.079 0.284
0.243 0.892 0.256
0.880 0.622 0.250
0.757 0.109 0.774
0.634 0.242 0.227
0.475 0.516 0.512
0.205 0.824 0.929
0.654 0.646 0.053
0.344 0.356 0.944
0.858 0.849 0.441
0.148 0.149 0.558
0.747 0.457 0.745
0.461 0.041 0.750

Entry 2:
MgTe2Mo2W2Se4S2, optimized geometry, DFT PBE; energy relative to the lowest polymorph listed for this composition = 45 meV/atom; calculated formation energy = -0.50 eV/atom; symmetry = P1 (1)
1.0
-0.751 -0.551 -3.208
2.659 -1.485 1.372
-21.742 -29.541 10.156
W S Se Te Mg Mo
2 2 4 2 1 2
Direct
0.333 0.667 0.470
0.667 0.333 0.658
0.667 0.333 0.430
0.667 0.333 0.510
0.667 0.333 0.138
0.333 0.667 0.238
0.667 0.333 0.050
0.333 0.667 0.326
0.333 0.667 0.607
0.333 0.667 0.708
0.658 0.253 0.882
0.333 0.667 0.094
0.667 0.333 0.282

Entry 3:
Nb2C3N6, optimized geometry, DFT PBE; energy relative to the lowest polymorph listed for this composition = 803 meV/atom; calculated formation energy = 0.49 eV/atom; symmetry = R32 (155)
1.0
-0.937 1.150 -7.343
-0.085 -4.649 -2.678
-1.940 -10.141 17.668
N Nb C
6 2 3
Direct
0.940 0.682 0.374
0.014 0.682 0.944
0.986 0.696 0.056
0.060 0.622 0.626
0.073 0.622 0.751
0.927 0.696 0.249
0.000 0.000 0.111
0.000 0.000 0.889
0.019 0.654 0.673
0.000 0.673 0.000
0.981 0.673 0.327

Entry 4:
Ho6MnTe2, optimized geometry, DFT PBE; calculated formation energy = -0.68 eV/atom; symmetry = Amm2 (38)
1.0
0.000 0.000 -4.082
-4.129 -7.152 0.000
-4.141 7.158 0.000
Ho Mn Te
6 1 2
Direct
0.000 0.000 0.238
0.500 0.606 0.000
0.500 0.000 0.606
0.500 0.394 0.394
0.000 0.238 0.000
0.000 0.762 0.762
0.500 0.000 0.000
0.000 0.333 0.667
0.000 0.667 0.333

Entry 5:
Na10Al4Ga4Si5S7O48, optimized geometry, DFT PBE; calculated formation energy = -2.43 eV/atom; symmetry = P1 (1)
1.0
17.341 -0.031 0.173
-4.349 7.546 0.028
0.221 0.210 21.894
O Na S Al Ga Si
144 30 21 12 12 15
Direct
0.738 0.162 0.241
0.247 0.119 0.641
0.267 0.841 0.474
0.422 0.041 0.805
0.244 0.354 0.422
0.084 0.483 0.253
0.905 0.844 0.190
0.920 0.353 0.927
0.182 0.876 0.861
0.235 0.165 0.520
0.420 0.537 0.746
0.729 0.159 0.519
0.315 0.109 0.139
0.093 0.220 0.697
0.346 0.161 0.029
0.844 0.172 0.747
0.986 0.802 0.090
0.682 0.873 0.862
0.252 0.642 0.577
0.444 0.516 0.139
0.063 0.639 0.355
0.587 0.023 0.594
0.750 0.868 0.076
0.074 0.495 0.573
0.485 0.800 0.086
0.183 0.483 0.360
0.657 0.467 0.472
0.401 0.973 0.416
0.586 0.200 0.414
0.581 0.453 0.975
0.157 0.474 0.472
0.758 0.696 0.258
0.903 0.827 0.910
0.248 0.861 0.072
0.927 0.307 0.529
0.108 0.179 0.806
0.849 0.162 0.029
0.748 0.635 0.575
0.746 0.354 0.420
0.403 0.972 0.686
0.982 0.155 0.308
0.177 0.844 0.575
0.487 0.171 0.591
0.919 0.788 0.307
0.568 0.501 0.855
0.749 0.352 0.143
0.910 0.804 0.585
0.923 0.540 0.029
0.410 0.021 0.083
0.238 0.307 0.021
0.523 0.218 0.188
0.014 0.853 0.409
0.403 0.827 0.908
0.014 0.177 0.909
0.273 0.704 0.971
0.424 0.301 0.532
0.753 0.810 0.762
0.775 0.705 0.971
0.087 0.971 0.196
0.086 0.683 0.758
0.585 0.488 0.254
0.683 0.481 0.360
0.086 0.019 0.586
0.399 0.839 0.189
0.247 0.134 0.922
0.157 0.839 0.972
0.756 0.639 0.862
0.256 0.823 0.760
0.026 0.830 0.689
0.740 0.310 0.020
0.611 0.041 0.305
0.444 0.371 0.641
0.917 0.040 0.808
0.158 0.473 0.758
0.081 0.704 0.475
0.069 0.495 0.856
0.318 0.513 0.640
0.919 0.488 0.426
0.585 0.972 0.909
0.602 0.174 0.808
0.319 0.508 0.922
0.020 0.207 0.188
0.820 0.123 0.140
0.679 0.851 0.580
0.660 0.848 0.255
0.843 0.513 0.242
0.985 0.813 0.808
0.346 0.176 0.745
0.418 0.782 0.307
0.238 0.313 0.744
0.850 0.545 0.530
0.744 0.135 0.920
0.774 0.844 0.471
0.259 0.874 0.363
0.572 0.489 0.577
0.176 0.506 0.075
0.678 0.505 0.080
0.408 0.303 0.242
0.154 0.843 0.254
0.514 0.852 0.411
0.580 0.694 0.756
0.652 0.846 0.972
0.819 0.524 0.641
0.480 0.160 0.309
0.515 0.825 0.695
0.948 0.378 0.638
0.589 0.152 0.086
0.760 0.878 0.361
0.339 0.511 0.245
0.420 0.356 0.926
0.750 0.141 0.641
0.256 0.641 0.862
0.103 0.032 0.306
0.087 0.151 0.088
0.088 0.971 0.913
0.991 0.175 0.590
0.233 0.158 0.245
0.820 0.507 0.922
0.941 0.511 0.139
0.069 0.646 0.075
0.562 0.639 0.353
0.733 0.313 0.746
0.245 0.359 0.144
0.570 0.649 0.075
0.904 0.977 0.410
0.085 0.203 0.415
0.909 0.515 0.743
0.351 0.550 0.529
0.894 0.951 0.691
0.318 0.130 0.422
0.489 0.801 0.807
0.423 0.535 0.029
0.912 0.025 0.087
0.420 0.486 0.424
0.513 0.181 0.909
0.586 0.200 0.698
0.909 0.304 0.240
0.590 0.966 0.196
0.821 0.133 0.421
0.411 0.806 0.589
0.650 0.462 0.756
0.083 0.461 0.976
0.256 0.697 0.258
0.583 0.709 0.473
0.163 0.027 0.422
0.497 0.630 0.256
0.674 0.663 0.165
0.170 0.670 0.669
0.331 0.970 0.588
0.664 0.302 0.923
0.497 0.360 0.755
0.842 0.326 0.835
0.676 0.699 0.665
0.341 0.336 0.836
0.508 0.995 0.501
0.500 0.997 0.001
0.846 0.356 0.336
0.000 0.998 0.000
0.520 0.331 0.084
0.020 0.332 0.083
0.182 0.371 0.244
0.664 0.025 0.423
0.822 0.644 0.748
0.997 0.627 0.256
0.997 0.001 0.500
0.823 0.999 0.249
0.345 0.356 0.335
0.684 0.374 0.244
0.182 0.992 0.747
0.321 0.000 0.249
0.173 0.662 0.164
0.997 0.364 0.757
0.163 0.301 0.922
0.017 0.704 0.585
0.814 0.956 0.415
0.328 0.036 0.081
0.142 0.000 0.250
0.500 0.718 0.752
0.642 0.283 0.751
0.479 0.627 0.081
0.333 0.623 0.584
0.982 0.332 0.582
0.667 0.378 0.418
0.167 0.950 0.918
0.311 0.953 0.418
0.978 0.627 0.082
0.482 0.336 0.584
0.666 0.953 0.917
0.831 0.042 0.083
0.166 0.379 0.418
0.648 0.004 0.249
0.312 0.671 0.915
0.147 0.295 0.751
0.829 0.624 0.583
0.814 0.671 0.916
0.838 0.334 0.983
0.664 0.679 0.817
0.335 0.330 0.982
0.835 0.348 0.187
0.165 0.645 0.017
0.492 0.010 0.854
0.987 0.977 0.350
0.160 0.675 0.517
0.002 0.013 0.149
0.503 0.996 0.649
0.162 0.671 0.813
0.989 0.998 0.851
0.833 0.338 0.483
0.660 0.646 0.315
0.663 0.693 0.520
0.329 0.314 0.683
0.831 0.313 0.688
0.157 0.642 0.314
0.334 0.349 0.185
0.488 0.980 0.351
0.666 0.644 0.018
0.337 0.345 0.483
0.503 0.013 0.149
0.998 0.988 0.651
0.188 0.329 0.082
0.019 0.372 0.916
0.498 0.288 0.250
0.355 0.992 0.749
0.517 0.375 0.916
0.687 0.047 0.584
0.851 0.993 0.751
0.692 0.329 0.083
0.857 0.714 0.248
0.185 0.042 0.581
0.999 0.711 0.752
0.517 0.666 0.416
0.997 0.282 0.249
0.355 0.712 0.249
0.017 0.667 0.417

Entry 6:
Zn3Cd3B4O12, optimized geometry, DFT PBE; calculated formation energy = -2.17 eV/atom; symmetry = R3 (146)
1.0
4.906 -4.255 0.000
4.906 4.255 0.000
1.216 0.000 6.379
O Cd Zn B
12 3 3 4
Direct
0.808 0.082 0.791
0.518 0.824 0.575
0.575 0.518 0.824
0.791 0.808 0.082
0.082 0.791 0.808
0.589 0.349 0.278
0.824 0.575 0.518
0.349 0.278 0.589
0.053 0.339 0.062
0.278 0.589 0.349
0.062 0.053 0.339
0.339 0.062 0.053
0.716 0.017 0.343
0.343 0.716 0.017
0.017 0.343 0.716
0.518 0.218 0.835
0.218 0.835 0.518
0.835 0.518 0.218
0.406 0.406 0.406
0.637 0.637 0.637
0.892 0.892 0.892
0.152 0.152 0.152

| no. | E_tot (eV/atom) |
| --- | --- |
| 1 | -7.553 |
| 2 | -6.404 |
| 3 | -8.214 |
| 4 | -5.355 |
| 5 | -6.284 |
| 6 | -6.010 |